Here is crystalline Dy4Mn at its relaxed geometry from the Materials Project database. Energies are from PBE.

The structure in POSCAR format:
```
Dy4Mn
1.0
0.0000 5.2752 5.2752
5.2752 0.0000 5.2752
5.2752 5.2752 0.0000
Dy Mn
8 2
Cartesian
4.0642 4.0642 4.0642
6.4863 6.4863 4.0642
6.4863 4.0642 6.4863
6.7018 6.7018 9.1239
9.1239 9.1239 9.1239
4.0642 6.4863 6.4863
6.7018 9.1239 6.7018
9.1239 6.7018 6.7018
0.0000 0.0000 0.0000
2.6376 2.6376 2.6376
```

- mass density (g cm⁻³) = 7.97
- E_tot (eV per atom) = -4.966

=====

Here is crystalline Ba11Cu4Bi9O29 at its relaxed geometry from the Materials Project database. Energies are from PBE.

The structure in POSCAR format:
```
Ba11Cu4Bi9O29
1.0
0.0000 -5.2953 0.0000
-12.7010 0.0000 0.4867
-0.3014 -2.6477 -14.2682
Ba Cu Bi O
11 4 9 29
Cartesian
-9.3680 -2.6477 -0.3869
-3.6827 -5.2953 -13.3488
-7.2403 -2.6477 -5.6582
-5.8819 -5.2953 -8.4758
-12.1103 -5.2953 -1.3440
-0.8927 -2.6477 -12.4318
-8.5245 -2.6477 -9.9897
-4.4002 -5.2953 -4.0051
-1.9434 -2.6477 -2.8229
-10.9755 -5.2953 -10.9602
-6.8355 -2.6477 -13.6967
-0.3238 -5.2953 -14.2606
-2.7303 -5.2953 -0.8820
-10.3208 -2.6477 -12.8994
-7.6428 -5.2953 -11.8979
-1.0077 -5.2953 -5.7618
-11.9781 -2.6477 -8.0263
-8.6080 -5.2953 -3.1438
-4.2272 -2.6477 -10.6145
-3.1552 -2.6477 -7.0200
-9.9255 -5.2953 -6.6958
-11.1134 -2.6477 -4.2366
-1.8357 -5.2953 -9.5016
-5.6247 -2.6477 -2.0033
-9.3151 -5.2953 -1.1785
-3.6604 -2.6477 -12.6395
-7.7316 -5.2953 -6.1710
-5.2681 -2.6477 -7.6995
-3.1485 -5.2953 -6.6655
-9.8541 -2.6477 -7.0524
-7.9739 -5.2953 -9.9916
-4.9885 -2.6477 -4.1394
-11.8397 -2.6477 -2.2854
-1.0992 -5.2953 -11.4482
-1.3664 -3.9591 -0.4791
-11.6868 -6.6136 -13.3110
-11.6868 -3.9771 -13.3110
-1.3664 -1.3362 -0.4791
-11.1087 -5.2953 -4.7362
-1.8802 -2.6477 -8.9234
-6.2250 -2.6477 -11.0427
-6.6099 -5.2953 -2.5254
-3.9910 -3.9690 -1.5207
-9.0034 -6.7025 -12.3588
-9.0034 -3.8881 -12.3588
-3.9910 -1.3263 -1.5207
-0.9982 -2.6477 -5.6533
-11.8993 -5.2953 -8.1020
-1.6506 -5.2953 -3.7760
-11.3709 -2.6477 -10.0183
-8.9854 -2.6477 -3.4782
-3.8901 -5.2953 -10.3030
-6.7229 -5.2953 -13.6256
```

- corrected total energy (MP2020 scheme) (eV/atom) = -6.11
- mass density (g cm⁻³) = 7.11

=====

Here is crystalline LiGdO2 at its relaxed geometry from the Materials Project database. Energies are from PBE.

The structure in POSCAR format:
```
LiGdO2
1.0
-2.2620 2.2620 5.3124
2.2620 -2.2620 5.3124
2.2620 2.2620 -5.3124
Li Gd O
2 2 4
Cartesian
0.0000 0.0000 5.3124
2.2620 0.0000 2.6562
0.0000 0.0000 0.0000
0.0000 2.2620 2.6562
0.0000 0.0000 8.2591
0.0000 0.0000 2.3656
0.0000 2.2620 5.0218
0.0000 2.2620 0.2906
```

- corrected total energy (MP2020 scheme) (eV/atom) = -9.64
- mass density (g cm⁻³) = 5.99
- distance to the lowest polymorph of the same formula (meV/atom) = 41

=====

Here is crystalline MgSi at its relaxed geometry from the Materials Project database. Energies are from PBE.

The structure in POSCAR format:
```
MgSi
1.0
-2.4618 4.7216 -2.2764
-1.4217 -0.1504 -4.2617
-7.4964 -5.5505 4.5508
Mg Si
6 6
Cartesian
-3.4061 3.0335 -3.6883
-7.7369 -3.9877 2.4114
-8.2190 0.2513 -2.4069
-2.9240 -1.2055 1.1300
-7.9154 -1.8106 0.0035
-3.2276 0.8564 -1.2804
-5.7782 1.4286 -3.1611
-5.1770 -1.6406 -0.4970
-2.3992 0.3742 -3.8817
-10.1655 -1.4787 -1.6569
-5.3647 -2.3828 1.8842
-5.9659 0.6864 -0.7799
```

- corrected total energy (MP2020 scheme) (eV/atom) = -3.40
- mass density (g cm⁻³) = 2.31

=====

Here is crystalline CaO at its relaxed geometry from the Materials Project database. Energies are from PBE.

The structure in POSCAR format:
```
CaO
1.0
1.5417 -0.2579 -3.0440
-1.4893 -1.7601 -2.5285
-1.2791 1.6505 -2.7109
Ca O
1 1
Cartesian
0.0000 0.0000 0.0000
-0.6134 -0.1837 -4.1417
```

- corrected total energy (MP2020 scheme) (eV/atom) = -6.78
- mass density (g cm⁻³) = 3.29

=====

Here is crystalline CuPt7 at its relaxed geometry from the Materials Project database. Energies are from PBE.

The structure in POSCAR format:
```
CuPt7
1.0
2.0010 -5.1848 -0.3903
-0.7214 -3.5879 4.2006
-3.4962 -4.2990 -0.5778
Cu Pt
1 7
Cartesian
-1.1083 -6.5358 1.6162
0.0000 0.0000 0.0000
-0.3607 -1.7939 2.1003
1.0005 -2.5924 -0.1952
-2.1088 -3.9434 1.8114
-0.7476 -4.7419 -0.4841
-1.7481 -2.1495 -0.2889
0.6398 -4.3863 1.9052
```

- mass density (g cm⁻³) = 19.41
- E_tot (eV per atom) = -5.868

=====

Here is crystalline MgZn2 at its relaxed geometry from the Materials Project database. Energies are from PBE.

The structure in POSCAR format:
```
MgZn2
1.0
1.5209 5.1741 0.0000
-1.5209 5.1741 0.0000
0.0000 1.3659 6.6099
Mg Zn
2 4
Cartesian
0.0000 6.7602 1.7635
0.0000 10.5707 4.0819
0.0000 10.3116 0.0073
0.0000 3.9279 2.1768
0.0000 7.8112 4.4445
0.0000 4.1562 6.2540
```

- mass density (g cm⁻³) = 4.95
- E_tot (eV per atom) = -1.386

=====

Here is crystalline Cr4FeCoS8 at its relaxed geometry from the Materials Project database. Energies are from PBE.

The structure in POSCAR format:
```
Cr4FeCoS8
1.0
0.0000 4.9128 4.9128
4.9128 0.0000 4.9128
4.9128 4.9128 0.0000
Cr Fe Co S
4 1 1 8
Cartesian
1.2156 3.6972 3.6972
3.6972 1.2156 3.6972
3.6972 3.6972 1.2156
1.2156 1.2156 1.2156
4.9128 4.9128 4.9128
7.3691 7.3691 7.3691
8.6378 6.1005 6.1005
6.1005 8.6378 6.1005
6.1005 6.1005 8.6378
8.6378 8.6378 8.6378
3.6170 6.2086 6.2086
6.2086 3.6170 6.2086
6.2086 6.2086 3.6170
3.6170 3.6170 3.6170
```

- corrected total energy (MP2020 scheme) (eV/atom) = -7.07
- mass density (g cm⁻³) = 4.06

=====

What did the seventh record say?
Here is crystalline MgZn2 at its relaxed geometry from the Materials Project database. Energies are from PBE.

The structure in POSCAR format:
```
MgZn2
1.0
1.5209 5.1741 0.0000
-1.5209 5.1741 0.0000
0.0000 1.3659 6.6099
Mg Zn
2 4
Cartesian
0.0000 6.7602 1.7635
0.0000 10.5707 4.0819
0.0000 10.3116 0.0073
0.0000 3.9279 2.1768
0.0000 7.8112 4.4445
0.0000 4.1562 6.2540
```

- mass density (g cm⁻³) = 4.95
- E_tot (eV per atom) = -1.386